No. 1
## MoWSe3S (GGA-PBE)

Data for a relaxed MoWSe3S crystal.

Unit cell a=3.2865 b=3.2865 c=37.3539 alpha=90.00 beta=90.00 gamma=120.00
With the nearest neighbours (Å) after each atom.
Element x y z (fractional)
Mo  0.0000  0.0000  0.0000  6 Se 2.54
Mo  0.3333  0.6667  0.1879  6 Se 2.54
W  0.0000  0.0000  0.3757  6 S 2.44
W  0.3333  0.6667  0.5636  6 Se 2.55
Se  0.0000  0.0000  0.1428  3 Mo 2.54
Se  0.0000  0.0000  0.2330  3 Mo 2.54
Se  0.0000  0.0000  0.5182  3 W 2.55
Se  0.0000  0.0000  0.6090  3 W 2.55
Se  0.3333  0.6667  0.0451  3 Mo 2.54
Se  0.3333  0.6667  0.9549  3 Mo 2.54
S  0.3333  0.6667  0.3345  3 W 2.44
S  0.3333  0.6667  0.4170  3 W 2.44

Calculated values
raw total energy	-7.074	eV/atom
energy of formation from the pure elements	-0.75	eV per atom
size of the total moment	0.000	μB/atom
ΔE to the lowest computed polymorph	0.1	meV/atom
volume	29.12	Å³/atom
space-group type	P3m1

***

No. 2
## Mo2WSe4S2 (GGA-PBE)

Data for a relaxed Mo2WSe4S2 crystal.

Unit cell a=3.2742 b=3.2742 c=30.2002 alpha=90.00 beta=90.00 gamma=120.00
With the nearest neighbours (Å) after each atom.
Element x y z (fractional)
Mo  0.0000  0.0000  0.2313  6 Se 2.54
Mo  0.0000  0.0000  0.7687  6 Se 2.54
W  0.3333  0.6667  0.0000  6 S 2.44
Se  0.3333  0.6667  0.1754  3 Mo 2.54
Se  0.3333  0.6667  0.2873  3 Mo 2.54
Se  0.3333  0.6667  0.7127  3 Mo 2.54
Se  0.3333  0.6667  0.8246  3 Mo 2.54
S  0.0000  0.0000  0.0512  3 W 2.44
S  0.0000  0.0000  0.9488  3 W 2.44

Calculated values
raw total energy	-7.032	eV/atom
energy of formation from the pure elements	-0.82	eV per atom
size of the total moment	0.000	μB/atom
ΔE to the lowest computed polymorph	0.0	meV/atom
volume	31.15	Å³/atom
space-group type	P-6m2

***

No. 3
## MoWSe2S2 (GGA-PBE)

Data for a relaxed MoWSe2S2 crystal.

Unit cell a=3.2514 b=3.2514 c=36.8922 alpha=90.00 beta=90.00 gamma=120.00
With the nearest neighbours (Å) after each atom.
Element x y z (fractional)
Mo  0.0000  0.0000  0.0000  6 Se 2.53
Mo  0.3333  0.6667  0.1879  6 Se 2.53
W  0.0000  0.0000  0.3758  6 S 2.44
W  0.3333  0.6667  0.5636  6 S 2.44
Se  0.0000  0.0000  0.1418  3 Mo 2.53
Se  0.0000  0.0000  0.2340  3 Mo 2.53
Se  0.3333  0.6667  0.0461  3 Mo 2.53
Se  0.3333  0.6667  0.9539  3 Mo 2.53
S  0.0000  0.0000  0.5216  3 W 2.44
S  0.0000  0.0000  0.6057  3 W 2.44
S  0.3333  0.6667  0.3337  3 W 2.44
S  0.3333  0.6667  0.4178  3 W 2.44

Calculated values
raw total energy	-7.243	eV/atom
energy of formation from the pure elements	-0.90	eV per atom
size of the total moment	0.000	μB/atom
ΔE to the lowest computed polymorph	0.2	meV/atom
volume	28.15	Å³/atom
space-group type	P3m1

***

No. 4
## MoWSe2S2 (GGA-PBE)

Data for a relaxed MoWSe2S2 crystal.

Unit cell a=3.2556 b=3.2556 c=36.3313 alpha=90.00 beta=90.00 gamma=120.00
With the nearest neighbours (Å) after each atom.
Element x y z (fractional)
Mo  0.3333  0.6667  0.2182  6 Se 2.53
Mo  0.6667  0.3333  0.7818  6 Se 2.53
W  0.3333  0.6667  0.5939  6 S 2.44
W  0.6667  0.3333  0.4061  6 S 2.44
Se  0.3333  0.6667  0.7351  3 Mo 2.53
Se  0.3333  0.6667  0.8286  3 Mo 2.53
Se  0.6667  0.3333  0.1714  3 Mo 2.53
Se  0.6667  0.3333  0.2649  3 Mo 2.53
S  0.3333  0.6667  0.3634  3 W 2.44
S  0.3333  0.6667  0.4487  3 W 2.44
S  0.6667  0.3333  0.5513  3 W 2.44
S  0.6667  0.3333  0.6366  3 W 2.44

Calculated values
raw total energy	-7.243	eV/atom
energy of formation from the pure elements	-0.90	eV per atom
size of the total moment	0.000	μB/atom
ΔE to the lowest computed polymorph	0.3	meV/atom
volume	27.79	Å³/atom
space-group type	P-3m1

***

No. 5
## MoW3Se4S4 (GGA-PBE)

Data for a relaxed MoW3Se4S4 crystal.

Unit cell a=3.2528 b=3.2528 c=36.8834 alpha=90.00 beta=90.00 gamma=120.00
With the nearest neighbours (Å) after each atom.
Element x y z (fractional)
Mo  0.0000  0.0000  0.0000  6 Se 2.53
W  0.0000  0.0000  0.3757  6 Se 2.54
W  0.3333  0.6667  0.1879  6 S 2.44
W  0.3333  0.6667  0.5636  6 S 2.44
Se  0.3333  0.6667  0.0460  3 Mo 2.53
Se  0.3333  0.6667  0.3294  3 W 2.54
Se  0.3333  0.6667  0.4221  3 W 2.54
Se  0.3333  0.6667  0.9540  3 Mo 2.53
S  0.0000  0.0000  0.1458  3 W 2.44
S  0.0000  0.0000  0.2299  3 W 2.44
S  0.0000  0.0000  0.5216  3 W 2.44
S  0.0000  0.0000  0.6057  3 W 2.44

Calculated values
raw total energy	-7.390	eV/atom
energy of formation from the pure elements	-0.87	eV per atom
ΔE to the lowest computed polymorph	1.3	meV/atom
volume	28.16	Å³/atom
space-group type	P3m1

***

No. 6
## MoWSe3S (GGA-PBE)

Data for a relaxed MoWSe3S crystal.

Unit cell a=3.2932 b=3.2932 c=37.3941 alpha=90.00 beta=90.00 gamma=120.00
With the nearest neighbours (Å) after each atom.
Element x y z (fractional)
Mo  0.0000  0.0000  0.0000  6 S 2.44
Mo  0.0000  0.0000  0.3758  6 Se 2.54
W  0.3333  0.6667  0.1879  6 Se 2.55
W  0.3333  0.6667  0.5637  6 Se 2.55
Se  0.0000  0.0000  0.1426  3 W 2.55
Se  0.0000  0.0000  0.2332  3 W 2.55
Se  0.0000  0.0000  0.5184  3 W 2.55
Se  0.0000  0.0000  0.6090  3 W 2.55
Se  0.3333  0.6667  0.3307  3 Mo 2.54
Se  0.3333  0.6667  0.4208  3 Mo 2.54
S  0.3333  0.6667  0.0410  3 Mo 2.44
S  0.3333  0.6667  0.9590  3 Mo 2.44

Calculated values
raw total energy	-7.057	eV/atom
energy of formation from the pure elements	-0.74	eV per atom
size of the total moment	0.000	μB/atom
ΔE to the lowest computed polymorph	17.0	meV/atom
volume	29.27	Å³/atom
space-group type	P3m1

***

No. 7
## MoWSe3S (GGA-PBE)

Data for a relaxed MoWSe3S crystal.

Unit cell a=3.2915 b=3.2915 c=37.4080 alpha=90.00 beta=90.00 gamma=120.00
With the nearest neighbours (Å) after each atom.
Element x y z (fractional)
Mo  0.0000  0.0000  0.0000  6 S 2.44
Mo  0.3333  0.6667  0.1879  6 Se 2.54
W  0.0000  0.0000  0.3757  6 Se 2.55
W  0.3333  0.6667  0.5636  6 Se 2.55
Se  0.0000  0.0000  0.1428  3 Mo 2.54
Se  0.0000  0.0000  0.2329  3 Mo 2.54
Se  0.0000  0.0000  0.5183  3 W 2.55
Se  0.0000  0.0000  0.6090  3 W 2.55
Se  0.3333  0.6667  0.3304  3 W 2.55
Se  0.3333  0.6667  0.4210  3 W 2.55
S  0.3333  0.6667  0.0410  3 Mo 2.44
S  0.3333  0.6667  0.9590  3 Mo 2.44

Calculated values
raw total energy	-7.057	eV/atom
energy of formation from the pure elements	-0.74	eV per atom
size of the total moment	0.000	μB/atom
ΔE to the lowest computed polymorph	17.1	meV/atom
volume	29.25	Å³/atom
space-group type	P3m1

***

No. 8
## SmMo6S8 (GGA-PBE)

Data for a relaxed SmMo6S8 crystal.

Unit cell a=6.5152 b=6.5152 c=6.5152 alpha=88.98 beta=88.98 gamma=88.98
With the nearest neighbours (Å) after each atom.
Element x y z (fractional)
Sm  0.0000  0.0000  0.0000  8 S 2.77-3.01
Mo  0.2241  0.4199  0.5618  5 S 2.41-2.59, 2 Mo 2.68
Mo  0.4199  0.5618  0.2241  5 S 2.41-2.59, 2 Mo 2.68
Mo  0.4382  0.7759  0.5801  5 S 2.41-2.59, 2 Mo 2.68
Mo  0.5618  0.2241  0.4199  5 S 2.41-2.59, 2 Mo 2.68
Mo  0.5801  0.4382  0.7759  5 S 2.41-2.59, 2 Mo 2.68
Mo  0.7759  0.5801  0.4382  5 S 2.41-2.59, 2 Mo 2.68
S  0.1272  0.7523  0.3723  4 Mo 2.45-2.59
S  0.2412  0.2412  0.2412  3 Mo 2.41
S  0.2477  0.6277  0.8728  4 Mo 2.45-2.59
S  0.3723  0.1272  0.7523  4 Mo 2.45-2.59
S  0.6277  0.8728  0.2477  4 Mo 2.45-2.59
S  0.7523  0.3723  0.1272  4 Mo 2.45-2.59
S  0.7588  0.7588  0.7588  3 Mo 2.41
S  0.8728  0.2477  0.6277  4 Mo 2.45-2.59

Calculated values
raw total energy	-7.766	eV/atom
energy of formation from the pure elements	-1.18	eV per atom
volume	18.43	Å³/atom
space-group type	R-3

***

No. 9
## Sn5Mo36S48 (GGA-PBE)

Data for a relaxed Sn5Mo36S48 crystal.

Unit cell a=11.3323 b=11.4572 c=14.6233 alpha=74.85 beta=74.95 gamma=70.29
With the nearest neighbours (Å) after each atom.
Element x y z (fractional)
Sn  0.0000  0.0000  0.0000  2 S 2.76
Sn  0.1669  0.1667  0.3333  2 S 2.76-2.77
Sn  0.3336  0.3334  0.6668  2 S 2.76-2.77
Sn  0.6664  0.6666  0.3332  2 S 2.76-2.77
Sn  0.8331  0.8333  0.6667  2 S 2.76-2.77
Mo  0.0161  0.4318  0.8873  5 S 2.40-2.55
Mo  0.0309  0.5912  0.3972  5 S 2.40-2.56
Mo  0.0470  0.8220  0.2850  5 S 2.39-2.56
Mo  0.1199  0.3442  0.0482  5 S 2.40-2.56
Mo  0.1384  0.5764  0.9352  5 S 2.40-2.52
Mo  0.1506  0.7339  0.4451  5 S 2.40-2.56
Mo  0.1835  0.5980  0.2192  5 S 2.40-2.52
Mo  0.1964  0.7571  0.7313  5 S 2.40-2.55
Mo  0.2138  0.9881  0.6188  5 S 2.40-2.57
Mo  0.2876  0.5102  0.3815  5 S 2.40-2.55
Mo  0.3033  0.7420  0.2694  5 S 2.40-2.56
Mo  0.3169  0.9010  0.7791  5 S 2.40-2.56
Mo  0.3495  0.7659  0.5549  5 S 2.40-2.56
Mo  0.3654  0.9225  0.0636  5 S 2.41-2.56, 2 Mo 2.67
Mo  0.3807  0.1568  0.9527  5 S 2.41-2.56, 2 Mo 2.67
Mo  0.4551  0.6753  0.7159  5 S 2.40-2.52
Mo  0.4695  0.9086  0.6030  5 S 2.40-2.56
Mo  0.4844  0.0694  0.1110  5 S 2.41-2.56, 2 Mo 2.67
Mo  0.5156  0.9306  0.8890  5 S 2.41-2.56, 2 Mo 2.67
Mo  0.5305  0.0914  0.3970  5 S 2.40-2.56
Mo  0.5449  0.3247  0.2841  5 S 2.40-2.52
Mo  0.6193  0.8432  0.0473  5 S 2.41-2.56, 2 Mo 2.67
Mo  0.6346  0.0775  0.9364  5 S 2.41-2.56, 2 Mo 2.67
Mo  0.6505  0.2341  0.4451  5 S 2.40-2.56
Mo  0.6831  0.0990  0.2209  5 S 2.40-2.56
Mo  0.6967  0.2580  0.7306  5 S 2.40-2.56
Mo  0.7124  0.4898  0.6185  5 S 2.40-2.55
Mo  0.7862  0.0119  0.3812  5 S 2.40-2.57
Mo  0.8036  0.2429  0.2687  5 S 2.40-2.55
Mo  0.8165  0.4020  0.7808  5 S 2.40-2.52
Mo  0.8494  0.2661  0.5549  5 S 2.40-2.56
Mo  0.8616  0.4236  0.0648  5 S 2.40-2.52
Mo  0.8801  0.6558  0.9518  5 S 2.40-2.56
Mo  0.9530  0.1780  0.7150  5 S 2.39-2.56
Mo  0.9691  0.4088  0.6028  5 S 2.40-2.56
Mo  0.9839  0.5682  0.1127  5 S 2.40-2.55
S  0.9996  0.2414  0.9998  3 Mo 2.40
S  0.0004  0.7586  0.0002  3 Mo 2.40
S  0.0242  0.6442  0.7955  4 Mo 2.45-2.55
S  0.0558  0.3153  0.7508  4 Mo 2.44-2.55
S  0.0802  0.2072  0.5457  4 Mo 2.45-2.57
S  0.0860  0.9595  0.7876  4 Mo 2.45-2.56
S  0.1101  0.8518  0.5823  4 Mo 2.46-2.56
S  0.1426  0.5224  0.5384  4 Mo 2.46-2.56
S  0.1670  0.4080  0.3332  3 Mo 2.40
S  0.1665  0.9250  0.3333  3 Mo 2.39-2.40
S  0.1909  0.8104  0.1282  4 Mo 2.45-2.56
S  0.2193  0.4824  0.0849  4 Mo 2.44-2.52
S  0.2477  0.3745  0.8795  4 Mo 2.46-2.56
S  0.2532  0.1258  0.1203  4 Mo 2.45-2.56
S  0.2773  0.0188  0.9157  4 Mo 2.45-2.56
S  0.3073  0.6904  0.8696  4 Mo 2.44-2.52
S  0.3334  0.0918  0.6665  3 Mo 2.40
S  0.3333  0.5747  0.6668  3 Mo 2.40
S  0.3568  0.9780  0.4617  4 Mo 2.45-2.56
S  0.3903  0.6483  0.4176  4 Mo 2.45-2.56
S  0.4120  0.5403  0.2153  4 Mo 2.44-2.52
S  0.4202  0.2929  0.4537  4 Mo 2.44-2.55
S  0.4434  0.1859  0.2489  4 Mo 2.45-2.56
S  0.4761  0.8561  0.2046  4 Mo 2.46-2.56
S  0.5000  0.2626  0.0000  3 Mo 2.41
S  0.5000  0.7374  0.0000  3 Mo 2.41
S  0.5239  0.1439  0.7954  4 Mo 2.46-2.56
S  0.5566  0.8141  0.7511  4 Mo 2.45-2.56
S  0.5798  0.7071  0.5463  4 Mo 2.44-2.55
S  0.5880  0.4597  0.7847  4 Mo 2.44-2.52
S  0.6097  0.3517  0.5824  4 Mo 2.45-2.56
S  0.6432  0.0220  0.5383  4 Mo 2.45-2.56
S  0.6667  0.4253  0.3332  3 Mo 2.40
S  0.6666  0.9082  0.3335  3 Mo 2.40
S  0.6927  0.3096  0.1304  4 Mo 2.44-2.52
S  0.7227  0.9812  0.0843  4 Mo 2.45-2.56
S  0.7468  0.8742  0.8797  4 Mo 2.45-2.56
S  0.7523  0.6255  0.1205  4 Mo 2.46-2.56
S  0.7807  0.5176  0.9151  4 Mo 2.44-2.52
S  0.8091  0.1896  0.8718  4 Mo 2.45-2.56
S  0.8335  0.0750  0.6667  3 Mo 2.39-2.40
S  0.8330  0.5920  0.6668  3 Mo 2.40
S  0.8574  0.4776  0.4616  4 Mo 2.46-2.56
S  0.8899  0.1482  0.4177  4 Mo 2.46-2.56
S  0.9140  0.0405  0.2124  4 Mo 2.45-2.56
S  0.9198  0.7928  0.4543  4 Mo 2.45-2.57
S  0.9442  0.6847  0.2492  4 Mo 2.44-2.55
S  0.9758  0.3558  0.2045  4 Mo 2.45-2.55

Calculated values
raw total energy	-7.486	eV/atom
energy of formation from the pure elements	-0.91	eV per atom
size of the total moment	0.000	μB/atom
volume	19.04	Å³/atom
space-group type	P-1